[1]
First-principles (PBE with a Hubbard U) data for a relaxed structure of Mn9Zn3O16, as listed in Materials Project.

Formation energy   -1.99 eV per atom
Total energy after the MP2020 corrections   -221.109 eV per cell

Structure (extended XYZ):
```
28
Lattice="5.863 0.000 0.000 0.000 5.863 0.000 0.000 0.000 9.351" Properties=species:S:1:pos:R:3 pbc="T T T"
Mn 0.000 0.000 0.000
Mn 0.000 1.470 3.521
Mn 0.000 4.393 3.521
Mn 1.470 0.000 5.830
Mn 1.471 2.931 1.185
Mn 2.931 1.471 8.166
Mn 2.931 4.392 8.166
Mn 4.393 0.000 5.830
Mn 4.392 2.931 1.185
Zn 0.000 2.931 7.008
Zn 2.931 0.000 2.344
Zn 2.931 2.931 4.676
O 0.000 1.319 5.791
O 0.000 1.634 1.257
O 0.000 4.229 1.257
O 0.000 4.544 5.791
O 1.319 0.000 3.560
O 1.322 2.931 3.467
O 1.601 2.931 8.240
O 1.634 0.000 8.094
O 2.931 1.322 5.885
O 2.931 1.601 1.112
O 2.931 4.262 1.112
O 2.931 4.541 5.885
O 4.229 0.000 8.094
O 4.262 2.931 8.240
O 4.544 0.000 3.560
O 4.541 2.931 3.467
```

***

[2]
First-principles (PBE with a Hubbard U) data for a relaxed structure of Cs2CoSiO4, as listed in Materials Project.

Piezoelectric modulus e_max   0.14 C/m²
Formation energy   -2.30 eV per atom
Total energy after the MP2020 corrections   -210.218 eV per cell

Structure (extended XYZ):
```
32
Lattice="2.944 6.420 0.000 -8.832 6.419 0.000 0.000 0.000 8.233" Properties=species:S:1:pos:R:3 pbc="T T T"
O -1.343 4.354 4.774
O -4.287 10.774 4.774
O -5.888 4.538 2.410
O -1.601 2.065 0.658
O 0.000 8.301 6.527
O -2.944 8.652 3.603
O -4.545 8.485 0.658
O -4.545 4.354 4.774
O -5.888 8.301 6.527
O -1.343 8.485 0.658
O -5.888 10.606 7.719
O 1.343 4.354 4.774
O -2.944 4.187 7.719
O 0.000 4.538 2.410
O -7.231 8.485 0.658
O 0.000 2.233 3.603
Si -5.888 8.970 8.059
Si -2.944 10.289 3.943
Si 0.000 3.869 3.943
Si -2.944 2.550 8.059
Cs -2.944 5.436 2.251
Cs -5.888 11.856 2.251
Cs -5.888 7.632 3.433
Cs 0.000 7.632 3.433
Cs -5.888 5.207 7.550
Cs 0.000 0.983 6.367
Cs 0.000 5.207 7.550
Cs -2.944 7.403 6.367
Co -5.888 10.182 5.714
Co -2.944 9.077 1.598
Co -2.944 3.762 5.714
Co 0.000 2.657 1.598
```

***

[3]
First-principles (PBE with a Hubbard U) data for a relaxed structure of Li4MnW3O12, as listed in Materials Project.

Formation energy   -2.26 eV per atom
ΔE to the lowest computed polymorph   0.000 eV per atom
Total energy after the MP2020 corrections   -320.614 eV per cell

Structure (extended XYZ):
```
40
Lattice="7.129 0.000 0.000 -0.152 7.301 0.000 -3.489 -3.647 8.889" Properties=species:S:1:pos:R:3 pbc="T T T"
Li 0.000 0.000 0.000
Li -1.822 1.828 5.603
Li -0.076 3.652 4.515
Li 1.745 1.826 1.310
Li 0.000 0.004 8.889
Li 1.819 -1.822 5.603
Li 3.565 0.002 4.515
Li 5.234 5.477 1.310
Mn 1.674 5.477 2.120
Mn 5.311 1.825 2.123
W -1.743 -1.822 6.479
W 0.001 0.000 3.644
W -0.074 3.656 8.378
W 1.745 1.829 6.479
W 3.489 3.651 3.645
W 3.567 0.005 8.378
O -3.124 -1.887 8.075
O -2.195 0.043 6.770
O -0.387 5.951 2.391
O 0.243 1.351 2.390
O -1.447 3.614 6.778
O 1.331 3.924 0.659
O -0.360 -1.458 5.273
O 2.013 7.027 0.658
O 0.368 1.466 5.271
O -0.353 -1.755 8.073
O 1.681 4.095 3.938
O 1.808 -0.445 3.944
O 0.365 1.764 8.075
O 1.294 3.693 6.771
O 3.253 2.300 2.392
O 3.732 5.002 2.390
O 2.194 -0.036 6.778
O 4.970 0.273 0.660
O 3.129 2.192 5.273
O 5.654 3.376 0.658
O 3.856 5.117 5.271
O 3.136 1.895 8.074
O 5.321 0.444 3.938
O 5.297 3.206 3.944
```

***

[4]
First-principles (PBE with a Hubbard U) data for a relaxed structure of LiFeBO3, as listed in Materials Project.

Formation energy   -2.33 eV per atom
ΔE to the lowest computed polymorph   0.000 eV per atom
Total energy after the MP2020 corrections   -734.317 eV per cell

Structure (extended XYZ):
```
96
Lattice="10.487 0.000 0.000 0.000 9.030 0.000 -0.245 0.000 10.344" Properties=species:S:1:pos:R:3 pbc="T T T"
Li 0.360 2.169 3.508
Li 0.237 2.346 8.681
Li 2.007 2.204 6.116
Li 2.130 2.311 0.943
Li 2.995 6.696 3.503
Li 2.872 6.849 8.676
Li 4.627 6.711 6.100
Li 4.749 6.833 0.927
Li 5.492 2.196 9.417
Li 5.615 2.318 4.245
Li 7.369 2.181 1.669
Li 7.246 2.334 6.841
Li 8.111 6.719 9.401
Li 8.234 6.826 4.229
Li 10.004 6.684 1.664
Li 9.882 6.861 6.836
Fe 0.316 5.294 9.101
Fe 0.438 8.250 3.928
Fe 1.954 5.277 6.434
Fe 2.076 8.268 1.262
Fe 2.872 0.807 9.054
Fe 2.994 3.708 3.882
Fe 4.622 0.759 6.519
Fe 4.744 3.756 1.346
Fe 5.497 5.274 8.998
Fe 5.620 8.270 3.826
Fe 7.247 5.322 6.462
Fe 7.369 8.223 1.290
Fe 8.165 0.762 9.083
Fe 8.288 3.753 3.910
Fe 9.803 0.779 6.416
Fe 9.926 3.735 1.244
B 0.362 5.271 3.838
B 0.239 8.273 9.010
B 2.150 5.264 1.344
B 2.028 8.280 6.516
B 2.979 0.754 3.923
B 2.857 3.761 9.095
B 4.776 0.758 1.253
B 4.654 3.757 6.425
B 5.588 5.273 3.920
B 5.465 8.272 9.092
B 7.385 5.269 1.249
B 7.262 8.276 6.421
B 8.214 0.749 3.828
B 8.091 3.765 9.001
B 10.002 0.756 1.334
B 9.879 3.758 6.506
O -0.018 4.991 6.799
O 0.105 8.554 1.627
O 0.275 1.913 1.465
O 0.152 2.602 6.637
O 0.814 5.303 0.943
O 0.691 8.242 6.115
O 1.703 5.335 4.222
O 1.580 8.210 9.394
O 2.176 1.886 4.055
O 2.053 2.629 9.227
O 2.275 4.969 8.706
O 2.397 8.576 3.534
O 2.626 0.482 6.827
O 2.748 4.033 1.655
O 2.897 6.425 1.467
O 2.775 7.119 6.639
O 3.420 0.797 0.931
O 3.298 3.718 6.103
O 4.331 0.818 4.233
O 4.208 3.696 9.406
O 4.805 6.412 4.042
O 4.683 7.133 9.214
O 4.876 0.455 8.702
O 4.999 4.060 3.530
O 5.242 4.970 6.815
O 5.365 8.575 1.643
O 5.559 1.897 1.130
O 5.436 2.618 6.302
O 6.033 5.333 0.939
O 5.911 8.211 6.111
O 6.944 5.311 4.242
O 6.821 8.233 9.414
O 7.467 1.910 3.706
O 7.344 2.604 8.878
O 7.493 4.997 8.689
O 7.615 8.548 3.517
O 7.844 0.454 6.811
O 7.966 4.061 1.639
O 8.188 6.401 1.118
O 8.065 7.144 6.290
O 8.661 0.820 0.950
O 8.538 3.695 6.123
O 9.550 0.788 4.229
O 9.427 3.727 9.401
O 10.089 6.428 3.708
O 9.967 7.117 8.880
O 10.137 0.476 8.718
O 10.259 4.039 3.546
```

***

[5]
First-principles (PBE with a Hubbard U) data for a relaxed structure of CrBi14O24, as listed in Materials Project.

Formation energy   -1.67 eV per atom
ΔE to the lowest computed polymorph   0.000 eV per atom
Total energy after the MP2020 corrections   -248.088 eV per cell

Structure (extended XYZ):
```
39
Lattice="8.894 0.000 0.000 -0.098 8.897 0.000 -4.332 -4.330 8.490" Properties=species:S:1:pos:R:3 pbc="T T T"
Cr 0.000 0.000 0.000
Bi -0.913 6.125 2.466
Bi -1.693 3.390 5.318
Bi -2.328 0.466 8.122
Bi 1.075 2.572 2.519
Bi 0.187 -0.051 5.352
Bi -0.334 -2.586 8.095
Bi 2.851 -1.099 2.494
Bi 1.877 5.353 5.276
Bi 0.731 2.478 8.112
Bi 4.554 4.309 2.365
Bi 3.615 1.696 5.282
Bi 2.725 -0.597 8.106
Bi 6.384 0.898 2.470
Bi 5.615 -1.878 5.286
O 0.090 4.335 1.584
O -2.992 4.858 7.700
O 0.261 -0.159 1.653
O -0.607 2.151 3.943
O -1.444 -1.120 6.741
O -0.866 1.544 6.758
O 0.829 6.538 3.855
O 0.069 4.403 6.169
O 2.912 3.249 0.973
O 3.437 5.948 0.980
O 2.333 3.625 3.900
O 2.393 0.620 3.893
O 1.250 -1.678 6.717
O 1.759 0.991 6.716
O 4.652 -0.141 1.558
O 3.794 6.553 3.907
O 5.556 2.724 0.984
O 6.125 5.378 1.013
O 5.286 2.156 3.831
O 3.508 -3.037 8.266
O 4.612 -0.092 6.142
O 3.742 3.162 7.967
O 6.816 -0.849 3.855
O 6.740 5.058 3.885
```

***

[6]
First-principles (PBE with a Hubbard U) data for a relaxed structure of VOF, as listed in Materials Project.

Piezoelectric modulus e_max   0.12 C/m²
Formation energy   -2.81 eV per atom
Total energy after the MP2020 corrections   -97.494 eV per cell

Structure (extended XYZ):
```
12
Lattice="3.333 0.000 0.000 0.000 3.780 0.000 0.000 0.000 10.060" Properties=species:S:1:pos:R:3 pbc="T T T"
V 0.766 0.055 4.018
V 0.901 3.725 9.048
V 2.432 1.835 6.042
V 2.567 1.946 1.012
O 0.759 1.914 4.825
O 0.907 1.866 9.855
O 2.426 3.756 5.236
O 2.573 0.024 0.205
F 0.813 1.190 7.272
F 0.853 2.591 2.242
F 2.479 0.701 2.788
F 2.520 3.080 7.818
```

***

[7]
First-principles (PBE with a Hubbard U) data for a relaxed structure of Li9Mn2Co5O16, as listed in Materials Project.

Formation energy   -1.81 eV per atom
ΔE to the lowest computed polymorph   0.052 eV per atom
Total energy after the MP2020 corrections   -208.209 eV per cell

Structure (extended XYZ):
```
32
Lattice="5.074 0.000 0.000 -1.602 5.506 0.000 -1.420 -0.490 10.185" Properties=species:S:1:pos:R:3 pbc="T T T"
Li 0.000 0.000 0.000
Li -0.735 1.243 2.461
Li -2.264 3.737 7.742
Li -2.197 2.259 10.168
Li -1.516 4.034 2.426
Li -1.429 1.022 7.773
Li 0.975 4.757 1.253
Li 3.548 2.487 5.145
Li 4.355 -0.237 5.111
Mn 1.009 3.259 3.796
Mn 1.812 0.502 3.794
Co 1.021 1.761 6.393
Co 0.217 4.525 6.451
Co 0.312 3.011 9.021
Co 1.118 0.252 9.020
Co 1.793 2.012 1.290
O -0.532 1.258 9.601
O -0.520 2.723 6.962
O 0.286 0.042 6.927
O -1.257 4.038 9.464
O 0.269 1.542 4.393
O -0.532 4.297 4.366
O 1.057 0.355 2.053
O 0.302 2.993 2.059
O 1.716 3.449 5.674
O 2.526 0.754 5.644
O 1.832 1.957 8.265
O 3.301 1.063 0.633
O 1.762 4.968 3.329
O 2.579 3.645 0.631
O 2.581 2.224 3.333
O 1.109 4.732 8.222
```

***

[8]
First-principles (PBE with a Hubbard U) data for a relaxed structure of Li3MnAlO4, as listed in Materials Project.

Formation energy   -2.46 eV per atom
Total energy after the MP2020 corrections   -484.363 eV per cell

Structure (extended XYZ):
```
72
Lattice="-5.445 5.445 6.715 5.445 -5.445 6.715 5.445 5.445 -6.715" Properties=species:S:1:pos:R:3 pbc="T T T"
Li 5.309 0.938 -0.868
Li 7.229 2.587 -2.490
Li 3.660 2.858 -2.490
Li -0.029 1.148 0.748
Li 3.911 -2.755 5.718
Li 1.533 2.755 -0.997
Li 5.477 1.189 2.360
Li 5.580 4.507 -0.868
Li 0.033 1.189 4.355
Li 1.574 2.693 2.610
Li -1.574 2.751 2.610
Li 0.029 4.296 0.748
Li 5.416 1.148 5.967
Li 7.019 2.693 4.106
Li 3.871 2.751 4.106
Li 5.412 4.255 2.360
Li -0.136 0.938 7.583
Li -0.033 4.255 4.355
Li 3.911 2.690 7.713
Li 1.533 8.200 0.997
Li 5.474 4.296 5.967
Li 1.785 2.587 9.205
Li -1.785 2.858 9.205
Li 0.136 4.507 7.583
Mn 8.306 -0.142 0.856
Mn 2.864 0.139 2.501
Mn 2.864 5.584 -2.501
Mn 2.861 -0.142 5.859
Mn 2.583 5.587 0.856
Mn 2.580 -0.139 9.217
Mn 2.580 5.306 4.214
Mn -2.861 5.587 5.859
Al 5.660 4.684 -4.115
Al 5.660 -0.760 4.115
Al 7.406 2.507 0.758
Al 3.483 2.937 0.758
Al 1.962 2.507 5.957
Al -1.962 2.937 5.957
Al -0.215 6.205 2.600
Al -0.215 0.760 10.830
O 6.131 -4.441 5.638
O 1.742 -1.681 2.636
O 4.675 -0.866 2.641
O 3.588 1.953 -0.716
O 6.486 0.980 0.722
O 7.187 -1.681 4.079
O 4.675 4.579 -2.641
O 3.647 -3.575 7.538
O 7.301 3.492 -0.716
O 0.852 0.925 2.535
O 4.759 -1.004 5.638
O 3.726 2.036 2.281
O 1.797 3.575 0.823
O 6.297 0.925 4.181
O 4.403 4.464 0.722
O 7.163 3.408 2.281
O -1.719 2.036 4.434
O 1.041 0.980 5.993
O -0.852 4.520 2.535
O 3.647 1.870 5.892
O 1.719 3.408 4.434
O 0.686 6.448 1.077
O 4.592 4.520 4.181
O -1.856 1.953 7.431
O 1.797 9.019 -0.823
O 0.770 0.866 9.356
O -1.742 7.126 2.636
O -1.041 4.464 5.993
O 1.856 3.492 7.431
O 0.770 6.311 4.074
O 3.703 7.126 4.079
O -0.686 9.886 1.077
```